1.
Ba6Fe3Si8C2Cl3O30 | GGA+U | relaxed

abc: 10.868 10.868 7.233
angles: 90.00 90.00 120.00
Atoms (fractional coordinates):
Ba  0.009  0.505  0.000
Ba  0.179  0.358  0.477
Ba  0.179  0.821  0.477
Ba  0.495  0.505  0.000
Ba  0.495  0.991  0.000
Ba  0.642  0.821  0.477
Fe  0.103  0.206  0.979
Fe  0.103  0.897  0.979
Fe  0.794  0.897  0.979
Si  0.330  0.165  0.251
Si  0.330  0.165  0.707
Si  0.667  0.333  0.259
Si  0.667  0.333  0.695
Si  0.835  0.165  0.251
Si  0.835  0.165  0.707
Si  0.835  0.670  0.251
Si  0.835  0.670  0.707
C  0.333  0.667  0.140
C  0.333  0.667  0.726
Cl  0.505  0.009  0.428
Cl  0.505  0.495  0.428
Cl  0.991  0.495  0.428
O  0.000  0.000  0.481
O  0.000  0.000  0.977
O  0.196  0.598  0.722
O  0.255  0.004  0.169
O  0.255  0.251  0.169
O  0.257  0.003  0.788
O  0.257  0.254  0.788
O  0.264  0.529  0.138
O  0.264  0.736  0.138
O  0.321  0.160  0.479
O  0.402  0.598  0.722
O  0.402  0.804  0.722
O  0.471  0.736  0.138
O  0.502  0.251  0.179
O  0.502  0.251  0.773
O  0.667  0.333  0.477
O  0.746  0.003  0.788
O  0.746  0.743  0.788
O  0.749  0.004  0.169
O  0.749  0.251  0.179
O  0.749  0.251  0.773
O  0.749  0.498  0.179
O  0.749  0.498  0.773
O  0.749  0.745  0.169
O  0.840  0.160  0.479
O  0.840  0.679  0.479
O  0.996  0.251  0.169
O  0.996  0.745  0.169
O  0.997  0.254  0.788
O  0.997  0.743  0.788

Output
SG = No. 156

2.
Sr2La2Cr3MoO12 | GGA+U | relaxed

abc: 5.583 5.583 9.680
angles: 105.74 105.74 60.34
Atoms (fractional coordinates):
Sr  0.121  0.121  0.363
Sr  0.879  0.879  0.637
La  0.379  0.379  0.120
La  0.621  0.621  0.880
Cr  0.000  0.000  0.000
Cr  0.252  0.252  0.753
Cr  0.748  0.748  0.247
Mo  0.500  0.500  0.500
O  0.146  0.634  0.351
O  0.156  0.640  0.861
O  0.164  0.164  0.913
O  0.347  0.347  0.590
O  0.360  0.844  0.139
O  0.366  0.854  0.649
O  0.634  0.146  0.351
O  0.640  0.156  0.861
O  0.653  0.653  0.410
O  0.836  0.836  0.087
O  0.844  0.360  0.139
O  0.854  0.366  0.649

Output
SG = No. 12

| no. | formation energy from the elements (eV/atom) | size of the total moment (μB/f.u.) |
| --- | --- | --- |
| 1 | -2.762 | 16.4 |
| 2 | -2.945 | 2.0 |